Record 1
## LiVGaO4 (PBE+U)

Data for a relaxed LiVGaO4 crystal.

Uncorrected energy: -6.57 eV/atom
SG: No. 2
Energy of formation: -2.376 eV/atom

```
28
Lattice="5.8836 0.0000 0.0000 2.9062 5.2123 0.0000 2.8251 1.4508 9.7163" Properties=species:S:1:pos:R:3 pbc="T T T"
Li 1.4322 0.7141 3.0829
Li 4.3775 2.6168 1.7757
Li 7.2374 4.0464 7.9406
Li 10.1827 5.9490 6.6334
V 0.0000 0.0000 0.0000
V 2.8656 3.3316 4.8581
V 2.9418 0.0000 0.0000
V 5.8075 3.3316 4.8581
Ga 1.4531 2.6061 0.0000
Ga 4.3154 2.3867 7.2876
Ga 4.3543 0.7254 4.8581
Ga 7.2995 4.2765 2.4287
O 2.7583 3.5918 1.1657
O 1.4045 0.7805 1.0440
O 4.2686 4.0205 5.9639
O 3.0114 1.6548 5.9490
O 5.6193 3.1246 8.6251
O 7.2672 5.9719 8.6098
O 4.4033 2.5491 3.8138
O 5.9548 4.9552 3.6909
O 5.6601 1.7080 6.0254
O 7.2116 4.1141 5.9025
O 4.3477 0.6913 1.1065
O 5.9956 3.5385 1.0912
O 8.6035 5.0083 3.7673
O 7.3464 2.6427 3.7524
O 10.2104 5.8827 8.6723
O 8.8566 3.0713 8.5506
```

=====

Record 2
## LiVGaO4 (PBE+U)

Data for a relaxed LiVGaO4 crystal.

Uncorrected energy: -6.58 eV/atom
Energy of formation: -2.382 eV/atom

```
28
Lattice="-5.8834 0.0250 -0.0350 0.0437 -3.4773 4.7619 0.0006 6.9426 5.0695" Properties=species:S:1:pos:R:3 pbc="T T T"
O -1.4141 2.6646 3.5465
O -1.5073 -0.9181 1.3505
O -1.4833 0.7248 6.2032
O -5.7369 5.0812 3.7204
O -4.3318 4.4085 8.4459
O -3.0661 3.6329 6.2161
O -4.4492 5.9499 6.3395
O -1.3897 -2.4592 3.4566
O -2.7938 1.8397 1.3783
O -4.4250 0.8258 6.2499
O -4.3559 2.7653 3.5934
O -3.0455 1.6506 8.4180
O -0.1020 -1.5908 6.0760
O -0.1268 -0.0948 3.5196
O -2.7732 -0.1424 3.5801
O -5.7121 3.5853 6.2767
Li -1.4475 2.6708 5.5871
Li -4.3916 0.8196 4.2093
Li -1.4703 6.0203 4.3833
Li -4.3688 -2.5298 5.4129
Ga -4.3814 2.6177 7.3493
Ga -1.4386 -0.8661 4.8296
Ga -4.4004 4.3567 4.9666
Ga -1.4577 0.8725 2.4470
V -2.9194 5.2164 7.4330
V -2.9418 3.4832 2.5172
V -5.8830 3.4960 2.5000
V -5.8612 -1.7132 2.3456
```

=====

Record 3
## Li16V3Ga13O32 (PBE+U)

Data for a relaxed Li16V3Ga13O32 crystal.

Uncorrected energy: -5.94 eV/atom
SG: No. 1
Energy of formation: -2.370 eV/atom

```
64
Lattice="5.5133 0.0000 0.0000 0.0008 6.4800 0.0000 0.0025 0.0062 20.3947" Properties=species:S:1:pos:R:3 pbc="T T T"
Li 0.0000 0.0000 0.0000
Li 0.0029 0.0094 5.1092
Li 0.0056 6.4741 10.2024
Li 1.8392 3.2311 2.5567
Li 1.8452 3.2417 7.6482
Li 1.8419 3.2525 12.7542
Li 1.8584 3.2465 17.8542
Li 2.7446 4.8526 5.1080
Li 2.7526 4.8530 0.0013
Li 2.7506 4.8603 10.2018
Li 2.7638 4.8667 15.3049
Li 4.5980 1.6102 17.8551
Li 4.6024 1.6148 7.6493
Li 4.6064 1.6179 2.5560
Li 4.6127 1.6166 12.7522
Li 5.5073 6.4805 15.3041
V 0.0054 3.2244 15.3036
V 2.7624 1.6380 10.2006
V 4.5954 4.8758 2.5514
Ga 0.0027 3.2146 5.0895
Ga 1.8412 6.4557 12.7375
Ga 1.8448 0.0104 2.5395
Ga 1.8477 6.4660 7.6202
Ga 1.8496 6.4741 17.8308
Ga 2.7529 1.6260 5.0886
Ga 2.7537 1.6312 20.3788
Ga 2.7564 1.6090 15.2792
Ga 4.6024 4.8743 12.7220
Ga 4.6002 4.8849 17.8408
Ga 4.6053 4.8679 7.6284
Ga 5.5128 3.2289 20.3620
Ga 5.5120 3.2537 10.1883
O 0.0530 6.3920 13.2908
O 0.0580 6.3884 8.1797
O 0.0622 6.3994 18.3864
O 0.0723 6.4379 3.0988
O 1.7728 3.2010 10.7462
O 1.7850 3.1472 0.5318
O 1.7911 3.1492 5.6388
O 1.8553 3.1531 15.8420
O 1.8991 0.0409 10.8650
O 1.9045 0.0818 15.9498
O 1.9184 0.0788 5.7435
O 1.9233 0.0835 0.6581
O 2.6760 1.5282 8.2612
O 2.6762 1.5315 13.3906
O 2.6806 1.5361 18.5017
O 2.6974 1.5390 3.2059
O 2.7482 4.9439 3.0966
O 2.8092 4.9519 18.3850
O 2.8148 4.9460 8.1803
O 2.8172 4.9459 13.2920
O 4.5270 1.6603 15.8443
O 4.5422 1.7022 5.6403
O 4.5434 1.7048 0.5321
O 4.6100 1.7061 10.7441
O 4.6573 4.7868 10.8427
O 4.6573 4.8209 15.9662
O 4.6811 4.7650 0.6093
O 4.6794 4.7704 5.7419
O 5.4333 3.3263 8.3041
O 5.4331 3.3323 13.3628
O 5.4400 3.3236 18.4761
O 5.4577 3.2793 3.2158
```

=====

Record 4
## LiVGaO4 (PBE+U)

Data for a relaxed LiVGaO4 crystal.

Uncorrected energy: -6.57 eV/atom
SG: No. 12
Energy of formation: -2.375 eV/atom

```
14
Lattice="5.1604 -2.9653 0.0000 5.1604 2.9653 0.0000 -3.4127 0.0000 4.8678" Properties=species:S:1:pos:R:3 pbc="T T T"
Li 0.0384 0.0000 1.8664
Li 6.8697 0.0000 3.0015
V 5.1604 0.0000 0.0000
V 3.4541 0.0000 2.4339
Ga 2.5802 1.4827 0.0000
Ga 2.5802 -1.4827 0.0000
O 0.0066 0.0000 3.8697
O 4.2752 1.3134 1.1566
O 1.9469 0.0000 1.2377
O 2.6329 1.3134 3.7112
O 4.2752 -1.3134 1.1566
O 4.9612 0.0000 3.6301
O 2.6329 -1.3134 3.7112
O 6.9015 0.0000 0.9981
```

=====

Record 5
## LiVGaO4 (PBE+U)

Data for a relaxed LiVGaO4 crystal.

Uncorrected energy: -6.57 eV/atom
SG: No. 1
Energy of formation: -2.376 eV/atom

```
28
Lattice="5.9117 0.0000 0.0000 2.9217 5.1891 0.0000 2.8850 1.5094 9.7130" Properties=species:S:1:pos:R:3 pbc="T T T"
Li 0.0000 0.0000 0.0000
Li 2.9279 1.7194 5.9926
Li 5.8674 3.3761 4.8597
Li 5.8981 3.5486 1.1394
V 2.9439 3.4680 2.9819
V 2.9123 1.7718 0.5681
V 5.8572 1.6127 7.8559
V 8.8400 5.1326 5.4232
Ga 1.4653 0.8816 3.0066
Ga 4.3600 4.1976 7.8484
Ga 4.4291 0.8814 3.0111
Ga 7.3278 4.2006 7.8563
O 4.2546 4.3885 4.1662
O 2.9581 1.7715 4.0024
O 4.5251 2.5108 9.0534
O 5.8668 4.8214 9.0522
O 4.2342 2.5794 1.8201
O 5.8837 5.4399 1.8204
O 5.8230 3.3499 6.8518
O 7.5001 5.9466 6.7126
O 7.1425 2.4584 8.9971
O 8.8268 5.0689 8.8616
O 5.8987 1.5077 4.1666
O 7.5470 4.3535 4.2016
O 8.7777 3.5760 6.6719
O 10.1051 5.9063 6.6374
O 8.8064 5.1593 1.9950
O 7.5209 2.5528 1.8239
```

=====

Record 6
## Li2VGa3O8 (PBE+U)

Data for a relaxed Li2VGa3O8 crystal.

Uncorrected energy: -6.18 eV/atom
Piezoelectric modulus e_max: 0.62 C/m²
SG: No. 1
Energy of formation: -2.295 eV/atom

```
14
Lattice="5.1902 0.0000 0.0000 0.0032 5.4475 0.0000 0.0411 0.0168 6.7080" Properties=species:S:1:pos:R:3 pbc="T T T"
Li 0.0000 0.0000 0.0000
Li 2.5487 3.5657 3.4580
V 5.1669 2.7124 1.7079
Ga 0.0745 5.4285 3.4902
Ga 2.5399 3.6014 6.6130
Ga 2.6007 0.7950 5.0729
O 1.7035 2.9410 1.5559
O 1.8830 5.3792 3.5846
O 1.9766 5.3235 6.5755
O 2.2245 2.6003 5.1337
O 4.3851 3.4250 0.3267
O 4.4311 0.4776 5.0146
O 4.6079 3.6484 3.0687
O 4.7980 1.0081 1.9055
```

=====

Record 7
## Li2VGa3O8 (PBE+U)

Data for a relaxed Li2VGa3O8 crystal.

Uncorrected energy: -6.18 eV/atom
Piezoelectric modulus e_max: 0.60 C/m²
SG: No. 1
Energy of formation: -2.295 eV/atom

```
14
Lattice="5.2112 0.0000 0.0000 0.0195 5.5005 0.0000 0.0547 0.0435 6.6395" Properties=species:S:1:pos:R:3 pbc="T T T"
Li 0.0000 0.0000 0.0000
Li 2.5674 3.7232 3.3122
V 2.6321 3.6352 6.6257
Ga 0.0775 2.6861 4.8708
Ga 2.4910 0.7969 1.7457
Ga 5.1871 5.4633 3.3236
O 0.3469 0.9095 4.9047
O 0.6442 3.7310 3.5122
O 0.6854 0.5999 1.7280
O 0.9085 3.6133 6.3710
O 2.9479 2.6046 1.4032
O 3.1607 5.2091 0.2651
O 3.3414 5.4743 3.1252
O 3.4120 3.0454 5.1798
```

=====

Record 8
## LiGaW2O8 (PBE+U)

Data for a relaxed LiGaW2O8 crystal.

Uncorrected energy: -6.90 eV/atom
SG: No. 13
Energy of formation: -2.232 eV/atom

```
24
Lattice="9.4601 0.0000 0.0000 0.0000 5.7378 0.0000 -0.0930 0.0000 5.0112" Properties=species:S:1:pos:R:3 pbc="T T T"
Li -0.0233 0.8757 1.2528
Li -0.0698 4.8621 3.7584
Ga 4.7068 0.9320 1.2528
Ga 4.6603 4.8058 3.7584
W 2.3100 1.8533 3.7060
W 2.3565 3.8845 1.2004
W 7.0105 1.8533 3.8108
W 7.0571 3.8845 1.3052
O 1.1567 0.6983 3.0205
O 1.2032 5.0394 0.5149
O 1.4497 2.2906 0.2956
O 1.4032 3.4472 2.8012
O 3.4638 2.1741 2.1143
O 3.4173 3.5636 4.6199
O 3.5796 0.6857 4.5595
O 3.6261 5.0521 2.0539
O 5.7409 0.6857 2.9573
O 5.7875 5.0521 0.4517
O 5.9498 2.1741 0.3913
O 5.9033 3.5636 2.8969
O 7.9639 2.2906 2.2100
O 7.9174 3.4472 4.7156
O 8.1639 0.6983 4.4963
O 8.2104 5.0394 1.9907
```

=====

> Look up the uncorrected energy of the sixth one.

-6.18 eV/atom

=====

> Look up the uncorrected energy of the seventh one.

-6.18 eV/atom

=====

> The highest uncorrected energy belongs to which entry?

Li16V3Ga13O32

=====

> Which of these has the lowest energy of formation?

number 2